# 1
Computed, not measured: a relaxed structure of Zr3N4 at the PBE-GGA level of DFT.

a = 8.725 Å, b = 8.725 Å, c = 8.725 Å
α = 22.91°, β = 22.91°, γ = 22.91°
Element x y z (fractional)
Zr 0.000 0.000 0.000
Zr 0.222 0.222 0.222
Zr 0.778 0.778 0.778
N 0.132 0.132 0.132
N 0.378 0.378 0.378
N 0.622 0.622 0.622
N 0.868 0.868 0.868

The symmetry is R-3m, No. 166. As for the total energy: -9.850 eV per atom. The formation energy comes out at -157.16 kJ/mol of atoms. The excess energy over the best structure of this formula in the dataset is 51.4 meV per atom. As for the volume: 12.6 A^3/atom.

# 2
Computed, not measured: a relaxed structure of Zr3N4 at the PBE-GGA level of DFT.

a = 6.513 Å, b = 6.513 Å, c = 6.513 Å
α = 60.00°, β = 60.00°, γ = 60.00°
Element x y z (fractional)
Zr 0.000 0.000 0.000
Zr 0.000 0.000 0.500
Zr 0.000 0.500 0.000
Zr 0.375 0.375 0.375
Zr 0.500 0.000 0.000
Zr 0.625 0.625 0.625
N 0.227 0.758 0.758
N 0.242 0.242 0.242
N 0.242 0.242 0.773
N 0.242 0.773 0.242
N 0.758 0.227 0.758
N 0.758 0.758 0.227
N 0.758 0.758 0.758
N 0.773 0.242 0.242

The symmetry is Fd-3m, No. 227. As for the total energy: -9.866 eV per atom. The formation energy comes out at -158.75 kJ/mol of atoms. The excess energy over the best structure of this formula in the dataset is 34.9 meV per atom. As for the volume: 14.0 A^3/atom.

# 3
Computed, not measured: a relaxed structure of ZrN at the PBE-GGA level of DFT.

a = 2.854 Å, b = 2.854 Å, c = 2.854 Å
α = 90.00°, β = 90.00°, γ = 90.00°
Element x y z (fractional)
Zr 0.000 0.000 0.000
N 0.500 0.500 0.500

The symmetry is Pm-3m, No. 221. As for the total energy: -9.236 eV per atom. The formation energy comes out at -94.01 kJ/mol of atoms. As for the volume: 11.6 A^3/atom.

# 4
Computed, not measured: a relaxed structure of Na at the PBE-GGA level of DFT.

a = 11.277 Å, b = 11.277 Å, c = 11.277 Å
α = 109.47°, β = 109.47°, γ = 109.47°
Element x y z (fractional)
Na 0.000 0.000 0.000
Na 0.000 0.000 0.636
Na 0.000 0.190 0.373
Na 0.000 0.373 0.190
Na 0.000 0.404 0.682
Na 0.000 0.636 0.000
Na 0.000 0.682 0.404
Na 0.183 0.810 0.810
Na 0.190 0.000 0.373
Na 0.190 0.373 0.000
Na 0.278 0.596 0.596
Na 0.318 0.318 0.722
Na 0.318 0.722 0.318
Na 0.364 0.364 0.364
Na 0.373 0.000 0.190
Na 0.373 0.190 0.000
Na 0.404 0.000 0.682
Na 0.404 0.682 0.000
Na 0.596 0.278 0.596
Na 0.596 0.596 0.278
Na 0.627 0.627 0.817
Na 0.627 0.817 0.627
Na 0.636 0.000 0.000
Na 0.682 0.000 0.404
Na 0.682 0.404 0.000
Na 0.722 0.318 0.318
Na 0.810 0.183 0.810
Na 0.810 0.810 0.183
Na 0.817 0.627 0.627

The symmetry is I-43m, No. 217. As for the total energy: -1.323 eV per atom. The formation energy comes out at 0.00 kJ/mol of atoms. The excess energy over the best structure of this formula in the dataset is 0.0 meV per atom. As for the volume: 38.1 A^3/atom.

# 5
Computed, not measured: a relaxed structure of Na at the PBE-GGA level of DFT.

a = 8.097 Å, b = 4.529 Å, c = 8.682 Å
α = 90.00°, β = 90.00°, γ = 90.00°
Element x y z (fractional)
Na 0.021 0.250 0.166
Na 0.156 0.250 0.580
Na 0.344 0.750 0.080
Na 0.479 0.750 0.666
Na 0.521 0.250 0.334
Na 0.656 0.250 0.920
Na 0.844 0.750 0.420
Na 0.979 0.750 0.834

The symmetry is Pnma, No. 62. As for the total energy: -1.236 eV per atom. The formation energy comes out at 8.33 kJ/mol of atoms. The excess energy over the best structure of this formula in the dataset is 86.3 meV per atom. As for the volume: 39.8 A^3/atom.

# 6
Computed, not measured: a relaxed structure of Na at the PBE-GGA level of DFT.

a = 6.742 Å, b = 6.742 Å, c = 6.742 Å
α = 90.00°, β = 90.00°, γ = 90.00°
Element x y z (fractional)
Na 0.000 0.000 0.000
Na 0.000 0.250 0.500
Na 0.000 0.750 0.500
Na 0.250 0.500 0.000
Na 0.500 0.000 0.250
Na 0.500 0.000 0.750
Na 0.500 0.500 0.500
Na 0.750 0.500 0.000

The symmetry is Pm-3n, No. 223. As for the total energy: -1.305 eV per atom. The formation energy comes out at 1.73 kJ/mol of atoms. The excess energy over the best structure of this formula in the dataset is 17.9 meV per atom. As for the volume: 38.3 A^3/atom.

# 7
Computed, not measured: a relaxed structure of Na at the PBE-GGA level of DFT.

a = 3.614 Å, b = 3.614 Å, c = 3.614 Å
α = 109.47°, β = 109.47°, γ = 109.47°
Element x y z (fractional)
Na 0.000 0.000 0.000

The symmetry is Im-3m, No. 229. As for the total energy: -1.310 eV per atom. The formation energy comes out at 1.19 kJ/mol of atoms. The excess energy over the best structure of this formula in the dataset is 12.3 meV per atom. As for the volume: 36.3 A^3/atom.

# 8
Computed, not measured: a relaxed structure of Na at the PBE-GGA level of DFT.

a = 9.103 Å, b = 9.103 Å, c = 9.103 Å
α = 90.00°, β = 90.00°, γ = 90.00°
Element x y z (fractional)
Na 0.048 0.125 0.798
Na 0.063 0.937 0.437
Na 0.125 0.798 0.048
Na 0.187 0.187 0.187
Na 0.202 0.548 0.375
Na 0.298 0.452 0.875
Na 0.313 0.813 0.687
Na 0.375 0.202 0.548
Na 0.437 0.063 0.937
Na 0.452 0.875 0.298
Na 0.548 0.375 0.202
Na 0.563 0.563 0.563
Na 0.625 0.702 0.952
Na 0.687 0.313 0.813
Na 0.702 0.952 0.625
Na 0.798 0.048 0.125
Na 0.813 0.687 0.313
Na 0.875 0.298 0.452
Na 0.937 0.437 0.063
Na 0.952 0.625 0.702

The symmetry is P4_132, No. 213. As for the total energy: -1.298 eV per atom. The formation energy comes out at 2.40 kJ/mol of atoms. The excess energy over the best structure of this formula in the dataset is 24.8 meV per atom. As for the volume: 37.7 A^3/atom.

# 9
Computed, not measured: a relaxed structure of Na at the PBE-GGA level of DFT.

a = 9.264 Å, b = 9.264 Å, c = 9.264 Å
α = 23.40°, β = 23.40°, γ = 23.40°
Element x y z (fractional)
Na 0.000 0.000 0.000
Na 0.222 0.222 0.222
Na 0.778 0.778 0.778

The symmetry is R-3m, No. 166. As for the total energy: -1.315 eV per atom. The formation energy comes out at 0.76 kJ/mol of atoms. The excess energy over the best structure of this formula in the dataset is 7.9 meV per atom. As for the volume: 36.7 A^3/atom.

# 10
Computed, not measured: a relaxed structure of Na at the PBE-GGA level of DFT.

a = 8.431 Å, b = 8.431 Å, c = 8.431 Å
α = 60.00°, β = 60.00°, γ = 60.00°
Element x y z (fractional)
Na 0.000 0.000 0.000
Na 0.352 0.352 0.352
Na 0.352 0.352 0.945
Na 0.352 0.945 0.352
Na 0.500 0.500 0.500
Na 0.945 0.352 0.352

The symmetry is F-43m, No. 216. As for the total energy: -0.912 eV per atom. The formation energy comes out at 39.63 kJ/mol of atoms. The excess energy over the best structure of this formula in the dataset is 410.8 meV per atom. As for the volume: 70.6 A^3/atom.

# 11
Computed, not measured: a relaxed structure of Na at the PBE-GGA level of DFT.

a = 3.759 Å, b = 3.759 Å, c = 6.065 Å
α = 90.00°, β = 90.00°, γ = 120.00°
Element x y z (fractional)
Na 0.333 0.667 0.250
Na 0.667 0.333 0.750

The symmetry is P6_3/mmc, No. 194. As for the total energy: -1.312 eV per atom. The formation energy comes out at 0.99 kJ/mol of atoms. The excess energy over the best structure of this formula in the dataset is 10.3 meV per atom. As for the volume: 37.1 A^3/atom.

# 12
Computed, not measured: a relaxed structure of Na at the PBE-GGA level of DFT.

a = 3.730 Å, b = 3.730 Å, c = 11.965 Å
α = 90.00°, β = 90.00°, γ = 120.00°
Element x y z (fractional)
Na 0.000 0.000 0.000
Na 0.000 0.000 0.500
Na 0.333 0.667 0.250
Na 0.667 0.333 0.750

The symmetry is P6_3/mmc, No. 194. As for the total energy: -1.311 eV per atom. The formation energy comes out at 1.14 kJ/mol of atoms. The excess energy over the best structure of this formula in the dataset is 11.8 meV per atom. As for the volume: 36.0 A^3/atom.

Repeat the ninth record exactly.
Computed, not measured: a relaxed structure of Na at the PBE-GGA level of DFT.

a = 9.264 Å, b = 9.264 Å, c = 9.264 Å
α = 23.40°, β = 23.40°, γ = 23.40°
Element x y z (fractional)
Na 0.000 0.000 0.000
Na 0.222 0.222 0.222
Na 0.778 0.778 0.778

The symmetry is R-3m, No. 166. As for the total energy: -1.315 eV per atom. The formation energy comes out at 0.76 kJ/mol of atoms. The excess energy over the best structure of this formula in the dataset is 7.9 meV per atom. As for the volume: 36.7 A^3/atom.